{"formula": "YUS2", "functional": "r2SCAN", "state": "relaxed", "ef_ev_per_atom": -1.986, "total_magnetization_mub_per_atom": 0.698, "energy_ev_per_atom": -31.067, "rho_g_cm3": 7.56, "crystal_system": "trigonal", "cell": [[6.725, -1.934, 0.010], [6.725, 1.934, 0.010], [6.164, 0.000, 3.312]], "species": ["S", "U", "S", "Y"], "frac_coords": [[0.253, 0.253, 0.253], [0.500, 0.500, 0.500], [0.747, 0.747, 0.747], [0.000, 0.000, 0.000]]}